[1]
# K2SnO3

A relaxed K2SnO3 crystal (PBE, Materials Project).

For the energy of formation from the pure elements, the calculation gives -1961 meV per atom. The density is 3.7 g/cm³. Its raw total energy is -5.13 eV per atom. The calculation puts the MP2020-corrected energy at -5.47 eV/atom.

The space group is Pnma (No. 62) and the conventional cell measures 5.843, 10.545 and 7.135 Å, with angles of 90.00, 90.00 and 90.00 degrees. The distinct sites, in fractional coordinates, are K at (0.236, 0.088, 0.115), Sn at (0.227, 0.750, 0.160), O at (0.011, 0.121, 0.724) and O at (0.153, 0.750, 0.892).


[2]
# TmAsO4

A relaxed TmAsO4 crystal (PBE, Materials Project).

For the energy of formation from the pure elements, the calculation gives -2862 meV per atom. The density is 6.5 g/cm³. Its raw total energy is -7.22 eV per atom. The calculation puts the MP2020-corrected energy at -7.68 eV/atom.

The space group is I4_1/amd (No. 141, origin choice 2) and the conventional cell measures 7.067, 7.067 and 6.307 Å, with angles of 90.00, 90.00 and 90.00 degrees. The distinct sites, in fractional coordinates, are Tm at (0.000, 0.250, 0.375), As at (0.000, 0.250, 0.875) and O at (0.000, 0.067, 0.695).


[3]
# Cr4GaCuS8

A relaxed Cr4GaCuS8 crystal (PBE, Materials Project).

For the energy of formation from the pure elements, the calculation gives -987 meV per atom. The density is 4.0 g/cm³. The calculation puts the total magnetic moment at 11.99 μB per formula unit. Its raw total energy is -6.33 eV per atom. The calculation puts the MP2020-corrected energy at -6.62 eV/atom.

The space group is F-43m (No. 216) and the conventional cell measures 9.987, 9.987 and 9.987 Å, with angles of 90.00, 90.00 and 90.00 degrees. The distinct sites, in fractional coordinates, are Cr at (0.121, 0.121, 0.379), Ga at (0.000, 0.000, 0.000), Cu at (0.250, 0.250, 0.750), S at (0.116, 0.116, 0.616) and S at (0.134, 0.134, 0.134).